Record 1
Here is a relaxed LiMnP4O12 crystal from the Materials Project. Energies are from GGA+U. Values from VASP.

```
&SYSTEM
  ibrav = 0, nat = 36, ntyp = 4
/
ATOMIC_SPECIES
Li 6.94 Li.upf
Mn 54.94 Mn.upf
P 30.97 P.upf
O 16.00 O.upf
ATOMIC_POSITIONS angstrom
Li -0.1272 0.0000 2.9766
Li 4.8999 4.6506 4.1678
Mn -0.0347 3.1596 5.3859
Mn 4.8074 7.8103 1.7585
P 0.3769 8.5802 0.1373
P -0.1647 5.0615 2.6342
P 2.6364 1.2261 0.8840
P 2.0836 6.9619 3.4370
P 2.6890 2.3112 3.7074
P 2.1362 5.8767 6.2604
P 4.9374 0.4109 4.5102
P 4.3958 3.9296 7.0071
O -1.7046 4.0587 6.0170
O -1.2192 1.3948 4.6682
O 0.2660 4.3356 1.2957
O -0.5470 3.9945 3.6634
O 1.1653 7.3400 0.0802
O 1.2272 0.6130 0.4541
O 1.2273 5.6526 3.0864
O 1.2647 8.1985 3.4362
O 0.4425 2.3318 7.0471
O 2.1615 1.9585 2.2352
O 1.4451 2.2126 4.5532
O 1.0791 4.8755 5.9861
O 3.6935 0.2249 1.1584
O 3.3275 6.8632 2.5912
O 2.6111 6.6091 4.9092
O 4.3301 6.9825 0.0973
O 3.5079 3.5479 3.7082
O 3.5453 1.0020 4.0580
O 3.5454 5.2636 6.6903
O 3.6074 2.6894 7.0643
O 5.3197 8.6451 3.4810
O 4.5067 8.9862 5.8487
O 5.9918 6.0454 2.4762
O 6.4772 8.7093 1.1274
CELL_PARAMETERS angstrom
7.2714 0.0000 0.0000
0.0000 9.3012 0.0000
-2.4987 0.0000 7.1444
```

Results
magnetization: 8.00 Bohr magnetons per cell
E: -7.082 eV per atom
excess energy over the best structure of this formula in the dataset: 5.7 kJ/mol of atoms

***

Record 2
Here is a relaxed GdMnO3 crystal from the Materials Project. Energies are from GGA+U. Values from VASP.

```
&SYSTEM
  ibrav = 0, nat = 20, ntyp = 3
/
ATOMIC_SPECIES
Gd 157.25 Gd.upf
Mn 54.94 Mn.upf
O 16.00 O.upf
ATOMIC_POSITIONS angstrom
Gd 0.4569 1.8929 0.0914
Gd 2.4711 5.6788 2.7722
Gd 3.3849 1.8929 2.5893
Gd 5.3991 5.6788 5.2700
Mn 0.0000 0.0000 2.6807
Mn 0.0000 3.7858 2.6807
Mn 2.9280 0.0000 0.0000
Mn 2.9280 3.7858 0.0000
O 0.1947 5.6788 2.1053
O 1.0392 4.1903 4.2505
O 1.0392 7.1672 4.2505
O 1.8888 0.4045 1.5698
O 1.8888 3.3814 1.5698
O 2.7333 1.8929 4.7860
O 3.1227 5.6788 0.5754
O 3.9671 4.1903 3.7917
O 3.9671 7.1672 3.7917
O 4.8168 0.4045 1.1109
O 4.8168 3.3814 1.1109
O 5.6613 1.8929 3.2562
CELL_PARAMETERS angstrom
5.8560 0.0000 0.0000
0.0000 7.5717 0.0000
0.0000 0.0000 5.3615
```

Results
E: -9.853 eV per atom

***

Record 3
Here is a relaxed K2Cr2HgCl2O7 crystal from the Materials Project. Energies are from GGA+U. Values from VASP.

```
&SYSTEM
  ibrav = 0, nat = 56, ntyp = 5
/
ATOMIC_SPECIES
K 39.10 K.upf
Cr 52.00 Cr.upf
Hg 200.59 Hg.upf
Cl 35.45 Cl.upf
O 16.00 O.upf
ATOMIC_POSITIONS angstrom
K -1.9021 1.8307 4.3251
K -5.7905 3.4958 10.7035
K 2.1535 6.9797 1.6699
K -1.7349 8.9998 8.0483
K 2.3189 1.6532 4.7085
K -1.5695 3.6733 11.0870
K 6.3745 7.1572 2.0534
K 2.4861 8.8223 8.4318
Cr -3.4481 1.7652 7.8372
Cr 0.4403 3.5613 1.4587
Cr -3.2650 7.0579 11.3432
Cr 0.6234 8.9216 4.9648
Cr -0.0394 1.7314 7.7921
Cr 3.8490 3.5951 1.4137
Cr 0.1437 7.0917 11.2981
Cr 4.0321 8.8878 4.9197
Hg 0.0000 0.0000 0.0000
Hg -3.8884 5.3265 6.3784
Hg 4.1804 0.0000 0.0000
Hg 0.2920 5.3265 6.3784
Cl -6.1638 0.2195 11.0252
Cl -2.2754 5.1070 4.6468
Cl -1.3265 5.5572 8.1131
Cl 2.5619 10.4223 1.7346
Cl -1.9780 0.2307 11.0222
Cl 1.9104 5.0958 4.6438
Cl 2.8594 5.5460 8.1100
Cl 6.7478 10.4335 1.7316
O -3.9177 2.5622 6.4671
O -0.0293 2.7643 0.0887
O -4.3263 0.4100 8.0246
O -0.4379 4.9165 1.6461
O 0.2863 2.5830 2.7542
O -3.6021 2.7435 9.1326
O -3.5146 7.9230 9.9831
O 0.3738 8.0565 3.6047
O -4.1352 5.6859 11.3102
O -0.2468 10.2936 4.9318
O -1.7519 1.2308 7.6457
O 2.1365 4.0957 1.2673
O -3.6586 7.9537 12.6743
O 0.2298 8.0258 6.2959
O 0.3542 2.6272 6.4610
O 4.2426 2.6993 0.0825
O -1.5525 6.5573 11.4896
O 2.3359 9.4222 5.1111
O 0.8308 0.3594 7.8251
O 4.7192 4.9671 1.4467
O 0.2102 2.5965 9.1522
O 4.0986 2.7300 2.7737
O 4.1860 7.9095 3.6242
O 0.2976 8.0700 10.0027
O 1.0218 5.7365 11.1107
O 4.9102 10.2430 4.7323
O 0.6133 7.8887 12.6681
O 4.5017 8.0908 6.2897
CELL_PARAMETERS angstrom
8.3608 0.0000 0.0000
0.0000 10.6530 0.0000
-7.7768 0.0000 12.7569
```

Results
magnetization: 0.01 Bohr magnetons per cell
E: -5.309 eV per atom

***

Record 4
Here is a relaxed Li6Mn3P6WO24 crystal from the Materials Project. Energies are from GGA+U. Values from VASP.

```
&SYSTEM
  ibrav = 0, nat = 40, ntyp = 5
/
ATOMIC_SPECIES
Li 6.94 Li.upf
Mn 54.94 Mn.upf
P 30.97 P.upf
W 183.84 W.upf
O 16.00 O.upf
ATOMIC_POSITIONS angstrom
Li 0.0000 0.0000 0.0000
Li 6.2487 7.2988 2.6799
Li 7.1530 3.3979 6.1451
Li 9.1805 5.4686 4.0592
Li 10.5823 7.3140 1.8099
Li 9.3161 3.0513 1.2100
Mn 2.8355 1.7276 1.3401
Mn 11.3173 6.8408 4.9134
Mn 14.9575 8.9464 6.3776
P 5.5680 5.6078 5.6091
P 8.7184 8.8434 4.2495
P 7.5851 6.0650 0.5760
P 10.0624 4.6203 7.0954
P 8.7297 1.6083 3.4903
P 11.7878 5.0186 1.9921
W 6.1720 3.7840 2.7562
O 6.3118 6.9206 5.7355
O 5.5712 4.6996 6.8712
O 8.1803 9.4043 5.5521
O 4.4569 4.7087 2.5450
O 7.6623 8.5870 3.1692
O 6.4145 4.7096 4.5528
O 6.7113 7.3572 0.5857
O 5.4332 2.2322 3.6753
O 7.1539 5.3647 1.9784
O 8.5783 4.2423 7.1964
O 9.5062 7.5119 4.3696
O 6.1409 2.9647 0.9759
O 11.4781 7.8658 6.6973
O 10.2444 5.3415 5.7494
O 8.0222 2.9838 3.0543
O 9.0888 6.3309 0.6918
O 11.9783 8.1823 3.5934
O 6.7375 0.7401 0.0467
O 9.4427 1.9102 4.7907
O 10.9017 5.6160 3.0920
O 12.9219 5.7697 5.0924
O 9.6114 1.2755 2.2597
O 11.9910 6.0748 0.8938
O 11.1514 3.7173 1.5030
CELL_PARAMETERS angstrom
8.7823 0.0000 0.0000
4.2876 7.7134 0.0000
4.2528 2.6821 7.2891
```

Results
magnetization: 15.00 Bohr magnetons per cell
E: -6.974 eV per atom

***

- Which of these has the highest E?
  K2Cr2HgCl2O7

***

- What is the E in the second record?
  -9.853 eV per atom

***

- What is the formula in the second record?
  GdMnO3

***

- Among the records above, which one has the highest E?
  K2Cr2HgCl2O7